Record 1
Crystalline Li4Fe9O18 at its relaxed geometry, computed with PBE with a Hubbard U.

Cell lengths 9.2431, 2.9481, 24.8631 Å; angles 90.00, 90.38, 90.00 degrees
With the nearest neighbours (Å) after each atom.
Element x y z (fractional)
Li 0.0000 0.0000 0.0000  5 O 2.19-2.32
Li 0.0000 0.0000 0.2109  4 O 2.14-2.15
Li 0.3735 0.0000 0.3911  5 O 2.17-2.35
Li 0.3773 0.0000 0.1816  4 O 2.15-2.17
Li 0.4987 0.0000 0.6788  4 O 2.13-2.18
Li 0.5002 0.0000 0.8898  5 O 2.19-2.33
Li 0.8757 0.0000 0.4980  5 O 2.22-2.33
Li 0.8781 0.0000 0.7099  4 O 2.16
Fe 0.0251 0.5000 0.3918  6 O 1.97-2.06
Fe 0.0273 0.5000 0.6064  6 O 1.89-2.00
Fe 0.1801 0.0000 0.3011  6 O 1.95-2.07
Fe 0.1881 0.0000 0.5080  5 O 1.97-2.03
Fe 0.1904 0.0000 0.6924  6 O 2.02-2.07
Fe 0.1951 0.0000 0.0904  6 O 1.95-2.09
Fe 0.1959 0.0000 0.8859  5 O 1.96-2.01
Fe 0.3478 0.5000 0.7796  6 O 1.98-2.05
Fe 0.3547 0.5000 0.0020  6 O 1.97-2.04
Fe 0.5165 0.5000 0.4999  6 O 1.93-2.03
Fe 0.5286 0.5000 0.2824  6 O 1.93-2.01
Fe 0.6780 0.0000 0.5883  6 O 1.95-2.06
Fe 0.6826 0.0000 0.3859  5 O 1.98-2.01
Fe 0.6894 0.0000 0.1966  6 O 2.03-2.08
Fe 0.6947 0.0000 0.7996  6 O 1.96-2.09
Fe 0.6965 0.0000 0.0050  5 O 1.96-2.00
Fe 0.8486 0.5000 0.1103  6 O 1.98-2.03
Fe 0.8541 0.5000 0.8887  6 O 1.97-2.03
O 0.0369 0.5000 0.6866  3 Fe 1.99-2.05, 2 Li 2.16
O 0.0502 0.5000 0.5309  3 Fe 1.89-2.03
O 0.0627 0.0000 0.4427  3 Fe 1.97-1.99
O 0.0656 0.5000 0.9051  3 Fe 1.96-1.99
O 0.1262 0.5000 0.2534  2 Fe 1.95, 2 Li 2.15
O 0.1514 0.5000 0.0331  3 Fe 2.04-2.09, 2 Li 2.19
O 0.1733 0.0000 0.6093  3 Fe 2.00-2.07
O 0.2059 0.0000 0.7746  3 Fe 1.98-2.05
O 0.2269 0.5000 0.3573  3 Fe 2.06-2.07, 2 Li 2.17
O 0.2521 0.5000 0.1372  2 Fe 1.95, 2 Li 2.17
O 0.3124 0.5000 0.4833  3 Fe 1.93-1.97
O 0.3192 0.0000 0.9509  3 Fe 1.97
O 0.3235 0.5000 0.8590  3 Fe 1.99-2.01
O 0.3396 0.5000 0.6971  3 Fe 2.02-2.05, 2 Li 2.13
O 0.3842 0.0000 0.0533  3 Fe 1.97-1.98
O 0.3849 0.0000 0.2797  3 Fe 1.97-1.99
O 0.4859 0.0000 0.5523  3 Fe 1.98-1.99
O 0.4901 0.0000 0.7791  3 Fe 1.96-1.98
O 0.5390 0.5000 0.2016  3 Fe 2.01-2.03, 2 Li 2.15
O 0.5514 0.5000 0.3596  3 Fe 1.93-2.01
O 0.5535 0.0000 0.4494  3 Fe 1.97-1.98, 1 Li 2.20
O 0.5659 0.5000 0.9856  3 Fe 1.96-2.00
O 0.6279 0.5000 0.6362  2 Fe 1.95, 2 Li 2.18
O 0.6511 0.5000 0.8567  3 Fe 2.03-2.09, 2 Li 2.19
O 0.6723 0.0000 0.2801  3 Fe 1.99-2.08
O 0.7065 0.0000 0.1140  3 Fe 1.98-2.06
O 0.7191 0.5000 0.5324  3 Fe 2.03-2.06, 2 Li 2.24
O 0.7517 0.5000 0.7526  2 Fe 1.96, 2 Li 2.16
O 0.8116 0.5000 0.4090  3 Fe 1.98-2.02
O 0.8186 0.0000 0.9398  3 Fe 1.97-1.98
O 0.8257 0.5000 0.0310  3 Fe 1.98-2.00
O 0.8395 0.5000 0.1919  3 Fe 2.03, 2 Li 2.14
O 0.8838 0.0000 0.8374  3 Fe 1.97-1.98
O 0.8856 0.0000 0.6056  3 Fe 1.96-1.97
O 0.9910 0.0000 0.1108  3 Fe 1.96-1.98
O 0.9945 0.0000 0.3395  3 Fe 1.97-1.98

Calculated values
- DFT formation energy: -1.572 eV/atom
- M_tot: 1.290 μB/atom



Record 2
Crystalline Li5Fe5O12 at its relaxed geometry, computed with PBE with a Hubbard U.

Cell lengths 5.0998, 9.1194, 9.4622 Å; angles 83.31, 85.30, 85.92 degrees
With the nearest neighbours (Å) after each atom.
Element x y z (fractional)
Li 0.0000 0.0000 0.0000  6 O 2.06-2.18
Li 0.0135 0.3520 0.9857  5 O 2.00-2.23
Li 0.1010 0.1364 0.2382  5 O 2.01-2.21
Li 0.3772 0.0502 0.7465  4 O 1.98-2.07
Li 0.4599 0.8255 0.0088  4 O 1.98-2.05
Li 0.4918 0.5012 0.9909  6 O 2.09-2.17
Li 0.5818 0.6404 0.2429  5 O 2.02-2.19
Li 0.6243 0.2997 0.2401  4 O 1.99-2.08
Li 0.8450 0.8835 0.7550  5 O 2.01-2.19
Li 0.8740 0.5412 0.7485  4 O 1.97-2.09
Fe 0.1142 0.4729 0.2444  5 O 1.87-2.07
Fe 0.2148 0.9297 0.4920  6 O 1.95-2.09
Fe 0.2394 0.2562 0.4974  6 O 1.97-2.06
Fe 0.3598 0.7074 0.7494  6 O 1.92-2.11
Fe 0.4786 0.1787 0.9939  6 O 1.92-2.06
Fe 0.6275 0.9662 0.2426  5 O 1.89-2.04
Fe 0.6990 0.4288 0.5007  6 O 1.89-2.10
Fe 0.7533 0.7571 0.4939  6 O 1.97-2.07
Fe 0.8689 0.2113 0.7531  5 O 1.88-2.06
Fe 0.9678 0.6794 0.9992  6 O 1.88-2.03
O 0.0540 0.7635 0.6112  3 Fe 1.97-2.11, 1 Li 2.03
O 0.0710 0.0859 0.6253  3 Fe 1.94-2.07, 1 Li 2.00
O 0.1595 0.8341 0.8823  2 Fe 1.96-1.98, 3 Li 2.01-2.08
O 0.1717 0.5564 0.8658  2 Fe 1.92-1.97, 2 Li 1.97-2.09
O 0.1782 0.1812 0.8834  2 Fe 1.92-2.06, 3 Li 2.02-2.10
O 0.2644 0.6311 0.1306  2 Fe 1.87-2.03, 1 Li 2.02
O 0.3091 0.3204 0.1145  2 Fe 1.93-2.11, 3 Li 2.00-2.13
O 0.3469 0.0081 0.1104  2 Fe 1.93-1.97, 3 Li 2.04-2.14
O 0.3771 0.0972 0.3804  3 Fe 1.95-2.15, 1 Li 2.01
O 0.4092 0.4293 0.3719  3 Fe 1.99-2.06, 1 Li 2.02
O 0.4615 0.8105 0.3622  3 Fe 1.91-2.03, 1 Li 2.05
O 0.5116 0.8761 0.6329  3 Fe 1.95-2.09, 2 Li 2.07-2.14
O 0.5516 0.2613 0.6058  2 Fe 1.89-1.97
O 0.5748 0.5884 0.6195  3 Fe 1.95-2.05, 1 Li 2.02
O 0.6684 0.6900 0.8757  2 Fe 1.99-2.04, 4 Li 2.05-2.19
O 0.6882 0.3321 0.8848  2 Fe 1.90-1.96, 2 Li 2.01-2.09
O 0.6902 0.0551 0.8570  2 Fe 1.88-2.01, 2 Li 1.98-2.01
O 0.7709 0.1327 0.1331  2 Fe 1.89-2.06, 3 Li 1.99-2.08
O 0.7851 0.8165 0.1105  2 Fe 1.88-2.04, 1 Li 1.98
O 0.8322 0.5025 0.1132  2 Fe 1.96-1.97, 3 Li 2.05-2.17
O 0.8709 0.5876 0.3847  3 Fe 1.93-2.07, 1 Li 2.07
O 0.9076 0.9344 0.3742  3 Fe 1.96-2.03
O 0.9463 0.3099 0.3598  3 Fe 1.94-2.10, 2 Li 2.08-2.13
O 0.9966 0.3755 0.6288  3 Fe 1.91-2.03, 1 Li 2.03

Calculated values
- ΔE to the lowest computed polymorph: 0.0057 eV per atom
- DFT formation energy: -1.705 eV/atom
- M_tot: 0.955 μB/atom



Record 3
Crystalline Li5Fe3O8 at its relaxed geometry, computed with PBE with a Hubbard U.

Cell lengths 5.8102, 5.8395, 9.9042 Å; angles 89.92, 89.00, 60.33 degrees
With the nearest neighbours (Å) after each atom.
Element x y z (fractional)
Li 0.0000 0.0000 0.0000  6 O 2.05-2.11
Li 0.0008 0.0136 0.7479  6 O 2.11-2.27
Li 0.3210 0.8413 0.2315  6 O 2.08-2.31
Li 0.3257 0.3288 0.2485  6 O 2.11-2.35
Li 0.3408 0.3394 0.4999  6 O 2.04-2.12
Li 0.5015 0.0180 0.7314  6 O 2.07-2.29
Li 0.5026 0.5105 0.7308  6 O 2.05-2.25
Li 0.8245 0.8360 0.2321  5 O 2.04-2.24
Li 0.8273 0.3375 0.2345  6 O 2.05-2.23
Li 0.9991 0.5141 0.7324  6 O 2.04-2.27
Fe 0.0016 0.4995 0.9945  6 O 1.99-2.04
Fe 0.3401 0.8395 0.4945  6 O 1.91-2.10
Fe 0.4999 0.0005 0.9938  6 O 1.92-2.11
Fe 0.4996 0.4996 0.9949  6 O 1.95-2.06
Fe 0.8410 0.3379 0.4947  6 O 1.91-2.09
Fe 0.8411 0.8395 0.4940  6 O 2.03-2.04
O 0.0058 0.0006 0.3717  3 Fe 2.03-2.10, 3 Li 2.09-2.24
O 0.1614 0.1659 0.6039  2 Fe 1.96-1.97, 4 Li 2.04-2.17
O 0.1727 0.6928 0.6073  2 Fe 1.93-2.04, 4 Li 2.08-2.15
O 0.1767 0.6493 0.1079  2 Fe 1.96-2.00, 4 Li 2.08-2.15
O 0.1817 0.1661 0.1057  2 Fe 1.93-2.03, 3 Li 2.05-2.11
O 0.3313 0.3397 0.8720  3 Fe 2.04-2.11, 3 Li 2.14-2.21
O 0.3517 0.8312 0.8876  2 Fe 1.92-2.00, 1 Li 2.08
O 0.5047 0.9881 0.3848  2 Fe 1.91-2.03, 1 Li 2.11
O 0.5175 0.5104 0.3893  2 Fe 1.96, 2 Li 2.06-2.17
O 0.6448 0.1716 0.1053  2 Fe 1.95-2.00, 3 Li 2.06-2.13
O 0.6674 0.6633 0.1138  3 Fe 2.04-2.09, 3 Li 2.04-2.08
O 0.6727 0.6785 0.6145  3 Fe 2.03-2.09, 3 Li 2.04-2.07
O 0.6879 0.1780 0.6066  2 Fe 1.92-2.04, 4 Li 2.06-2.13
O 0.8196 0.8366 0.8853  2 Fe 1.92-2.03, 1 Li 2.08
O 0.8245 0.3490 0.8849  2 Fe 1.95-1.99, 2 Li 2.11-2.17
O 0.9929 0.4982 0.3843  2 Fe 1.91-2.04, 2 Li 2.12-2.13

Calculated values
- DFT formation energy: -1.844 eV/atom
- M_tot: 0.813 μB/atom



Record 4
Crystalline LiFeO2 at its relaxed geometry, computed with PBE with a Hubbard U.

Cell lengths 5.1497, 5.1791, 7.9610 Å; angles 71.13, 71.54, 79.84 degrees
With the nearest neighbours (Å) after each atom.
Element x y z (fractional)
Li 0.0000 0.0000 0.0000  6 O 2.11-2.27
Li 0.1106 0.5125 0.2770  5 O 2.04-2.25
Li 0.2833 0.5013 0.9137  6 O 2.12-2.30
Li 0.7167 0.4987 0.0863  6 O 2.12-2.30
Li 0.8894 0.4875 0.7230  5 O 2.04-2.25
Fe 0.1894 0.9977 0.6108  6 O 1.97-2.15
Fe 0.4007 0.0091 0.1854  5 O 1.97-2.14
Fe 0.5000 0.5000 0.5000  6 O 2.02-2.09
Fe 0.5993 0.9909 0.8146  5 O 1.97-2.14
Fe 0.8106 0.0023 0.3892  6 O 1.97-2.15
O 0.0482 0.2331 0.1652  2 Fe 1.97-2.00, 4 Li 2.04-2.16
O 0.1634 0.7672 0.4443  4 Fe 2.09-2.14, 1 Li 2.25
O 0.2710 0.2492 0.7312  3 Fe 2.01-2.10, 1 Li 2.14
O 0.3637 0.7672 0.0444  2 Fe 1.97-2.00, 4 Li 2.09-2.13
O 0.4526 0.2399 0.3617  4 Fe 2.06-2.22, 2 Li 2.19-2.30
O 0.5474 0.7601 0.6383  4 Fe 2.06-2.22, 2 Li 2.19-2.30
O 0.6363 0.2328 0.9556  2 Fe 1.97-2.00, 4 Li 2.09-2.13
O 0.7290 0.7508 0.2688  3 Fe 2.01-2.10, 1 Li 2.14
O 0.8366 0.2328 0.5557  4 Fe 2.09-2.14, 1 Li 2.25
O 0.9518 0.7669 0.8348  2 Fe 1.97-2.00, 4 Li 2.04-2.16

Calculated values
- DFT formation energy: -1.918 eV/atom
- M_tot: 1.250 μB/atom



Record 5
Crystalline Li6Fe3O8 at its relaxed geometry, computed with PBE with a Hubbard U.

Cell lengths 5.9221, 6.0057, 10.4182 Å; angles 75.08, 73.99, 60.75 degrees
With the nearest neighbours (Å) after each atom.
Element x y z (fractional)
Li 0.0000 0.0000 0.0000  6 O 2.14-2.32, 2 Li 2.26-2.27
Li 0.0031 0.4967 0.9988  6 O 2.09-2.16
Li 0.0229 0.4696 0.4971  5 O 2.09-2.33, 2 Li 2.27-2.28
Li 0.2247 0.7005 0.3506  3 O 1.82-1.85, 1 Li 2.00
Li 0.2818 0.7819 0.1488  3 O 1.82-1.85, 1 Li 2.00
Li 0.4810 0.0152 0.0029  5 O 2.10-2.34, 2 Li 2.27-2.28
Li 0.5018 0.9860 0.5015  6 O 2.10-2.16
Li 0.5052 0.4830 0.5003  6 O 2.14-2.31, 2 Li 2.26-2.27
Li 0.5261 0.4942 0.9925  5 O 2.08-2.24, 2 Li 2.28-2.33
Li 0.7243 0.1946 0.8489  3 O 1.81-1.84, 1 Li 1.97
Li 0.7821 0.2874 0.6507  3 O 1.81-1.84, 1 Li 1.97
Li 0.9780 0.9876 0.5075  5 O 2.08-2.26, 1 Li 2.28
Fe 0.2528 0.2412 0.2502  6 O 2.02-2.08
Fe 0.2529 0.2410 0.7502  6 O 2.00-2.15
Fe 0.2530 0.7410 0.7501  6 O 2.00-2.10
Fe 0.7528 0.2411 0.2502  6 O 2.03-2.08
Fe 0.7532 0.7412 0.2501  4 O 1.93-1.94
Fe 0.7529 0.7411 0.7502  6 O 2.02-2.09
O 0.1006 0.6105 0.1421  1 Li 1.84, 1 Fe 1.93
O 0.1154 0.1328 0.1326  1 Li 1.82, 2 Fe 2.02-2.03
O 0.1249 0.6141 0.6272  3 Fe 2.09-2.15, 3 Li 2.13-2.14
O 0.1410 0.1028 0.6372  1 Li 1.84, 1 Fe 2.00
O 0.3651 0.3790 0.8633  1 Li 1.84, 1 Fe 2.00
O 0.3809 0.8680 0.8732  3 Fe 2.09-2.15, 3 Li 2.13-2.15
O 0.3903 0.3494 0.3678  1 Li 1.82, 2 Fe 2.02-2.03
O 0.4055 0.8716 0.3582  1 Li 1.84, 1 Fe 1.93
O 0.6099 0.6366 0.6334  1 Li 1.81, 2 Fe 2.00-2.02
O 0.6169 0.1038 0.6376  1 Li 1.84, 2 Fe 2.02-2.06
O 0.6216 0.1257 0.1273  3 Fe 2.06-2.20, 3 Li 2.10-2.19
O 0.6415 0.6093 0.1404  1 Li 1.85, 1 Fe 1.94
O 0.8644 0.8728 0.3601  1 Li 1.85, 1 Fe 1.94
O 0.8841 0.3565 0.3732  3 Fe 2.06-2.20, 3 Li 2.09-2.19
O 0.8889 0.3782 0.8629  1 Li 1.84, 1 Fe 2.02
O 0.8961 0.8454 0.8669  1 Li 1.81, 2 Fe 2.01-2.02

Calculated values
- DFT formation energy: -1.838 eV/atom
- M_tot: 0.765 μB/atom